Computed, not measured: SbPO4 after structural relaxation at the r²SCAN level of DFT.

Output
Space-group type ... P2_1/m (11)
Energy ... -11.8293 eV per atom
Crystal system ... monoclinic
Theoretical density ... 4.4 g cm⁻³
Energy relative to the elements ... -2063 meV/atom

Lattice parameters (Å, degrees): 4.771 5.127 6.757 90.00 90.00 95.23
Sites, in units of the cell vectors:
O1 0.177 0.232 0.570
O2 0.177 0.232 0.930
O3 0.823 0.768 0.070
O4 0.832 0.330 0.250
O5 0.401 0.549 0.250
O6 0.823 0.768 0.430
O7 0.168 0.670 0.750
O8 0.599 0.451 0.750
Sb1 0.797 0.822 0.750
Sb2 0.203 0.178 0.250
P1 0.275 0.392 0.750
P2 0.725 0.608 0.250